No. 1
Entry from the Materials Project database: crystalline MgCu6OF11 at its relaxed geometry (PBE).

Unit cell a=4.995 b=5.580 c=8.318 alpha=84.01 beta=85.63 gamma=85.14
Fractional positions:
1 Mg 0.000 0.000 0.000
2 Cu 0.011 0.997 0.496
3 Cu 0.026 0.374 0.201
4 Cu 0.495 0.500 0.507
5 Cu 0.515 0.119 0.816
6 Cu 0.517 0.827 0.157
7 Cu 0.941 0.624 0.815
8 O 0.688 0.839 0.933
9 F 0.170 0.675 0.088
10 F 0.184 0.947 0.783
11 F 0.203 0.275 0.423
12 F 0.295 0.162 0.081
13 F 0.299 0.441 0.732
14 F 0.308 0.796 0.401
15 F 0.698 0.538 0.282
16 F 0.714 0.206 0.580
17 F 0.807 0.309 0.910
18 F 0.817 0.723 0.581
19 F 0.824 0.054 0.219

Properties
The energy above the most stable polymorph in this dataset is 0.038 eV per atom. The calculation puts the total energy after the MP2020 corrections at -4.650 eV/atom. The uncorrected energy is -4.346 eV/atom.

No. 2
Entry from the Materials Project database: crystalline MgCu6O2F10 at its relaxed geometry (PBE).

Unit cell a=5.557 b=6.016 c=8.207 alpha=94.86 beta=109.70 gamma=112.00
Fractional positions:
1 Mg 0.000 0.000 0.000
2 Cu 0.012 0.499 0.974
3 Cu 0.038 0.869 0.358
4 Cu 0.366 0.792 0.770
5 Cu 0.555 0.584 0.499
6 Cu 0.593 0.202 0.193
7 Cu 0.987 0.196 0.634
8 O 0.155 0.494 0.799
9 O 0.853 0.872 0.509
10 F 0.242 0.358 0.118
11 F 0.265 0.925 0.205
12 F 0.267 0.296 0.516
13 F 0.312 0.044 0.916
14 F 0.312 0.753 0.509
15 F 0.722 0.369 0.444
16 F 0.738 0.073 0.805
17 F 0.786 0.658 0.856
18 F 0.790 0.963 0.157
19 F 0.851 0.480 0.150

Properties
The energy above the most stable polymorph in this dataset is 0.000 eV per atom. The calculation puts the total energy after the MP2020 corrections at -4.757 eV/atom. The uncorrected energy is -4.441 eV/atom.

No. 3
Entry from the Materials Project database: crystalline MgCu6OF11 at its relaxed geometry (PBE).

Unit cell a=4.808 b=5.642 c=8.550 alpha=88.79 beta=88.35 gamma=84.75
Fractional positions:
1 Mg 0.000 0.000 0.000
2 Cu 0.284 0.769 0.403
3 Cu 0.289 0.468 0.723
4 Cu 0.374 0.257 0.156
5 Cu 0.774 0.961 0.704
6 Cu 0.790 0.567 0.066
7 Cu 0.831 0.283 0.379
8 O 0.967 0.272 0.154
9 F 0.001 0.000 0.480
10 F 0.017 0.716 0.822
11 F 0.042 0.181 0.806
12 F 0.085 0.745 0.149
13 F 0.088 0.514 0.497
14 F 0.478 0.031 0.321
15 F 0.492 0.418 0.963
16 F 0.509 0.744 0.654
17 F 0.563 0.539 0.315
18 F 0.570 0.245 0.620
19 F 0.615 0.902 0.002

Properties
The energy above the most stable polymorph in this dataset is 0.069 eV per atom. The calculation puts the total energy after the MP2020 corrections at -4.619 eV/atom. The uncorrected energy is -4.315 eV/atom.

No. 4
Entry from the Materials Project database: crystalline MgCu2O4F2 at its relaxed geometry (PBE).

Unit cell a=5.438 b=3.237 c=6.440 alpha=90.00 beta=102.06 gamma=90.00
Fractional positions:
1 Mg 0.000 0.000 0.000
2 Cu 0.481 0.500 0.934
3 Cu 0.872 0.000 0.486
4 O 0.222 0.000 0.591
5 O 0.285 0.000 0.814
6 O 0.743 0.500 0.585
7 O 0.796 0.500 0.817
8 F 0.175 0.500 0.138
9 F 0.724 0.000 0.158

Properties
The energy above the most stable polymorph in this dataset is 0.007 eV per atom. The calculation puts the total energy after the MP2020 corrections at -4.981 eV/atom. The uncorrected energy is -4.807 eV/atom.

No. 5
Entry from the Materials Project database: crystalline MgCu6OF11 at its relaxed geometry (PBE).

Unit cell a=4.980 b=5.423 c=8.710 alpha=93.04 beta=90.99 gamma=90.02
Fractional positions:
1 Mg 0.000 0.000 0.000
2 Cu 0.019 0.596 0.209
3 Cu 0.493 0.123 0.194
4 Cu 0.501 0.847 0.822
5 Cu 0.518 0.468 0.502
6 Cu 0.940 0.439 0.741
7 Cu 0.999 0.991 0.508
8 O 0.810 0.273 0.571
9 F 0.172 0.034 0.799
10 F 0.172 0.295 0.105
11 F 0.207 0.690 0.433
12 F 0.296 0.817 0.100
13 F 0.298 0.178 0.428
14 F 0.317 0.551 0.743
15 F 0.671 0.139 0.922
16 F 0.687 0.427 0.259
17 F 0.721 0.776 0.582
18 F 0.826 0.928 0.208
19 F 0.831 0.674 0.911

Properties
The energy above the most stable polymorph in this dataset is 0.031 eV per atom. The calculation puts the total energy after the MP2020 corrections at -4.657 eV/atom. The uncorrected energy is -4.353 eV/atom.

No. 6
Entry from the Materials Project database: crystalline MgCu4O2F4 at its relaxed geometry (PBE).

Unit cell a=5.406 b=5.927 c=6.021 alpha=68.79 beta=68.72 gamma=67.56
Fractional positions:
1 Mg 0.000 0.000 0.000
2 Cu 0.306 0.440 0.958
3 Cu 0.341 0.419 0.450
4 Cu 0.341 0.915 0.463
5 Cu 0.836 0.411 0.464
6 O 0.207 0.277 0.306
7 O 0.467 0.550 0.609
8 F 0.012 0.335 0.906
9 F 0.332 0.748 0.050
10 F 0.726 0.912 0.283
11 F 0.976 0.947 0.716

Properties
The energy above the most stable polymorph in this dataset is 0.003 eV per atom. The calculation puts the total energy after the MP2020 corrections at -4.985 eV/atom. The uncorrected energy is -4.692 eV/atom.

no.,energy of formation from the pure elements (eV per formula unit)
1,-36.14
2,-35.14
3,-35.55
4,-11.41
5,-36.28
6,-19.28